DFT (PBE) results for a relaxed Na6ZnSi2Sn3P4O24 crystal.

Computed properties:
- Distance to the lowest polymorph of the same formula: 0.005 eV per atom
- MP2020-corrected energy: -6.833 eV per atom
- Energy of formation: -2.5206 eV/atom

The structure in CIF format:
```
data_Na6ZnSi2Sn3P4O24
_chemical_formula_sum 'Na12 Zn2 Si4 Sn6 P8 O48'
_cell_length_a 15.549
_cell_length_b 9.029
_cell_length_c 9.092
_cell_angle_alpha 89.61
_cell_angle_beta 124.90
_cell_angle_gamma 90.06
_symmetry_space_group_name_H-M 'P 1'
_symmetry_Int_Tables_number 1
_symmetry_space_group_name_Hall 'P 1'
loop_
_atom_site_label
_atom_site_type_symbol
_atom_site_fract_x
_atom_site_fract_y
_atom_site_fract_z
O1 O 0.081 0.860 0.742
O2 O 0.649 0.867 0.922
O3 O 0.855 0.357 0.594
O4 O 0.960 0.665 0.437
O5 O 0.648 0.159 0.409
O6 O 0.757 0.681 0.243
O7 O 0.424 0.340 0.754
O8 O 0.247 0.316 0.754
O9 O 0.058 0.055 0.905
O10 O 0.549 0.169 0.066
O11 O 0.049 0.669 0.066
O12 O 0.425 0.541 0.564
O13 O 0.412 0.631 0.255
O14 O 0.149 0.367 0.922
O15 O 0.244 0.675 0.255
O16 O 0.558 0.555 0.905
O17 O 0.546 0.826 0.566
O18 O 0.747 0.816 0.754
O19 O 0.351 0.072 0.755
O20 O 0.451 0.841 0.937
O21 O 0.654 0.940 0.250
O22 O 0.951 0.341 0.937
O23 O 0.046 0.326 0.566
O24 O 0.924 0.840 0.754
O25 O 0.351 0.917 0.258
O26 O 0.070 0.157 0.244
O27 O 0.851 0.572 0.755
O28 O 0.569 0.456 0.434
O29 O 0.157 0.582 0.741
O30 O 0.355 0.857 0.594
O31 O 0.357 0.130 0.077
O32 O 0.912 0.131 0.255
O33 O 0.069 0.956 0.434
O34 O 0.754 0.343 0.743
O35 O 0.570 0.657 0.244
O36 O 0.460 0.165 0.437
O37 O 0.257 0.181 0.243
O38 O 0.657 0.082 0.741
O39 O 0.254 0.843 0.743
O40 O 0.581 0.360 0.742
O41 O 0.148 0.659 0.409
O42 O 0.925 0.041 0.564
O43 O 0.744 0.175 0.255
O44 O 0.938 0.940 0.093
O45 O 0.857 0.630 0.077
O46 O 0.438 0.440 0.093
O47 O 0.154 0.440 0.250
O48 O 0.851 0.417 0.258
Na1 Na 0.685 0.582 0.803
Na2 Na 0.499 0.882 0.234
Na3 Na 0.508 0.094 0.763
Na4 Na 0.299 0.424 0.211
Na5 Na 0.008 0.594 0.763
Na6 Na 0.744 0.744 0.480
Na7 Na 0.751 0.250 0.001
Na8 Na 0.185 0.082 0.803
Na9 Na 0.244 0.244 0.480
Na10 Na 0.799 0.924 0.211
Na11 Na 0.251 0.750 0.001
Na12 Na 0.999 0.382 0.234
Sn1 Sn 0.398 0.254 0.940
Sn2 Sn 0.897 0.251 0.444
Sn3 Sn 0.397 0.751 0.444
Sn4 Sn 0.104 0.752 0.559
Sn5 Sn 0.604 0.252 0.559
Sn6 Sn 0.898 0.754 0.940
P1 P 0.856 0.397 0.761
P2 P 0.356 0.897 0.761
P3 P 0.002 0.045 0.256
P4 P 0.502 0.545 0.256
P5 P 0.996 0.955 0.745
P6 P 0.648 0.110 0.248
P7 P 0.148 0.610 0.248
P8 P 0.496 0.455 0.745
Si1 Si 0.150 0.399 0.749
Si2 Si 0.853 0.600 0.255
Si3 Si 0.650 0.899 0.749
Si4 Si 0.353 0.100 0.255
Zn1 Zn 0.104 0.241 0.055
Zn2 Zn 0.604 0.741 0.055
```

---

DFT (PBE) results for a relaxed Na6ZnSi2Sn3P4O24 crystal.

Computed properties:
- Distance to the lowest polymorph of the same formula: 0.000 eV per atom
- MP2020-corrected energy: -6.838 eV per atom
- Energy of formation: -2.5260 eV/atom

The structure in CIF format:
```
data_Na6ZnSi2Sn3P4O24
_chemical_formula_sum 'Na18 Zn3 Si6 Sn9 P12 O72'
_cell_length_a 9.019
_cell_length_b 9.016
_cell_length_c 22.325
_cell_angle_alpha 90.23
_cell_angle_beta 89.86
_cell_angle_gamma 119.98
_symmetry_space_group_name_H-M 'P 1'
_symmetry_Int_Tables_number 1
_symmetry_space_group_name_Hall 'P 1'
loop_
_atom_site_label
_atom_site_type_symbol
_atom_site_fract_x
_atom_site_fract_y
_atom_site_fract_z
P1 P 0.371 0.038 0.583
P2 P 0.337 0.375 0.417
P3 P 0.705 0.998 0.748
P4 P 0.291 0.293 0.751
P5 P 0.371 0.334 0.084
P6 P 0.005 0.298 0.253
P7 P 0.666 0.038 0.088
P8 P 0.041 0.661 0.417
P9 P 0.965 0.334 0.586
P10 P 0.703 0.704 0.252
P11 P 0.296 0.999 0.255
P12 P 0.006 0.708 0.751
Na1 Na 0.987 0.624 0.240
Na2 Na 0.964 0.283 0.412
Na3 Na 0.666 0.970 0.587
Na4 Na 0.002 0.995 0.499
Na5 Na 0.988 0.367 0.747
Na6 Na 0.025 0.337 0.084
Na7 Na 0.667 0.689 0.079
Na8 Na 0.326 0.032 0.411
Na9 Na 0.329 0.667 0.163
Na10 Na 0.640 0.015 0.244
Na11 Na 0.652 0.306 0.831
Na12 Na 0.633 0.616 0.744
Na13 Na 0.969 0.668 0.920
Na14 Na 0.327 0.666 0.665
Na15 Na 0.335 0.304 0.918
Na16 Na 0.652 0.332 0.323
Na17 Na 0.001 0.997 0.998
Na18 Na 0.715 0.685 0.416
Sn1 Sn 0.336 0.674 0.816
Sn2 Sn 0.337 0.668 0.315
Sn3 Sn 0.667 0.335 0.486
Sn4 Sn 0.997 0.000 0.854
Sn5 Sn 0.336 0.663 0.521
Sn6 Sn 0.008 0.002 0.150
Sn7 Sn 0.004 0.996 0.647
Sn8 Sn 0.667 0.332 0.981
Sn9 Sn 0.332 0.673 0.017
O1 O 0.684 0.527 0.245
O2 O 0.159 0.689 0.471
O3 O 0.118 0.493 0.856
O4 O 0.303 0.825 0.254
O5 O 0.170 0.206 0.697
O6 O 0.786 0.966 0.691
O7 O 0.355 0.499 0.079
O8 O 0.888 0.515 0.145
O9 O 0.182 0.195 0.412
O10 O 0.506 0.626 0.857
O11 O 0.028 0.188 0.912
O12 O 0.114 0.622 0.359
O13 O 0.142 0.496 0.578
O14 O 0.835 0.025 0.090
O15 O 0.836 0.829 0.586
O16 O 0.854 0.363 0.923
O17 O 0.525 0.699 0.254
O18 O 0.443 0.303 0.025
O19 O 0.167 0.483 0.254
O20 O 0.297 0.454 0.472
O21 O 0.493 0.120 0.634
O22 O 0.540 0.842 0.476
O23 O 0.483 0.362 0.138
O24 O 0.641 0.111 0.146
O25 O 0.206 0.192 0.809
O26 O 0.844 0.317 0.249
O27 O 0.846 0.529 0.748
O28 O 0.983 0.170 0.588
O29 O 0.504 0.885 0.358
O30 O 0.515 0.851 0.080
O31 O 0.498 0.155 0.924
O32 O 0.841 0.547 0.027
O33 O 0.161 0.453 0.975
O34 O 0.823 0.027 0.803
O35 O 0.851 0.297 0.528
O36 O 0.153 0.643 0.080
O37 O 0.641 0.494 0.922
O38 O 0.169 0.688 0.752
O39 O 0.183 0.179 0.089
O40 O 0.505 0.367 0.422
O41 O 0.974 0.819 0.090
O42 O 0.443 0.137 0.522
O43 O 0.689 0.158 0.744
O44 O 0.787 0.823 0.196
O45 O 0.375 0.493 0.362
O46 O 0.698 0.154 0.033
O47 O 0.861 0.496 0.423
O48 O 0.283 0.835 0.973
O49 O 0.644 0.525 0.646
O50 O 0.643 0.156 0.423
O51 O 0.022 0.820 0.414
O52 O 0.028 0.215 0.194
O53 O 0.377 0.887 0.856
O54 O 0.820 0.830 0.912
O55 O 0.477 0.149 0.247
O56 O 0.501 0.661 0.582
O57 O 0.981 0.792 0.808
O58 O 0.175 0.963 0.200
O59 O 0.545 0.699 0.978
O60 O 0.193 0.025 0.588
O61 O 0.818 0.986 0.413
O62 O 0.301 0.474 0.752
O63 O 0.164 0.982 0.910
O64 O 0.531 0.825 0.753
O65 O 0.033 0.821 0.695
O66 O 0.806 0.784 0.309
O67 O 0.694 0.550 0.523
O68 O 0.987 0.195 0.309
O69 O 0.470 0.317 0.747
O70 O 0.883 0.355 0.642
O71 O 0.346 0.855 0.577
O72 O 0.214 0.015 0.313
Si1 Si 0.965 0.631 0.086
Si2 Si 0.668 0.630 0.586
Si3 Si 0.625 0.667 0.917
Si4 Si 0.039 0.373 0.916
Si5 Si 0.336 0.963 0.916
Si6 Si 0.629 0.965 0.418
Zn1 Zn 0.664 0.337 0.178
Zn2 Zn 0.656 0.331 0.680
Zn3 Zn 0.996 0.999 0.348
```